Record 1
Below is Al2Si2O9 after structural relaxation, with properties calculated at the PBE level.

E_tot   -6.876 eV per atom
Calculated formation energy   -2.5150 eV per atom
ΔE to the lowest computed polymorph   0.022 eV/f.u.

```
Al2Si2O9
1.0
4.538 2.609 0.000
-4.538 2.609 0.000
0.000 1.751 14.851
O Si Al
18 4 4
Cartesian
-0.722 5.426 12.629
2.490 2.337 4.808
0.084 0.945 7.280
2.027 3.862 10.473
-0.084 1.820 14.706
-0.789 4.244 10.457
-0.260 3.550 7.455
0.260 2.674 0.029
-2.490 3.213 12.233
-3.538 3.826 10.555
0.722 4.551 5.203
3.538 2.950 3.130
2.177 4.560 7.449
1.004 3.187 12.627
-2.177 3.684 0.024
-1.004 2.312 5.202
0.789 3.369 3.032
-2.027 2.987 3.047
0.871 3.054 14.279
-0.680 5.600 14.279
-0.871 2.179 6.854
0.680 4.725 6.854
-0.699 3.833 4.083
-2.187 4.940 11.508
0.699 4.709 11.509
2.187 4.065 4.083
```

Record 2
Below is Al8Si3O18 after structural relaxation, with properties calculated at the PBE level.

E_tot   -7.398 eV per atom
Calculated formation energy   -3.1588 eV per atom

```
Al8Si3O18
1.0
-0.956 1.933 -1.980
1.067 -5.597 -5.979
-12.225 -6.124 -0.075
Al O Si
8 18 3
Cartesian
-2.868 -5.086 -5.744
-7.650 -4.449 -2.813
0.192 -5.889 -5.842
-4.975 -2.583 -2.283
-7.605 -7.991 -6.293
-4.521 -7.728 -5.361
-8.600 -7.439 -3.109
-2.217 -4.085 -2.917
-3.642 -2.945 -3.280
-8.660 -7.191 -5.002
-10.727 -9.663 -4.253
-0.911 -0.075 -1.798
-2.835 -5.414 -3.916
-11.930 -7.558 -3.781
-7.344 -6.179 -2.486
-1.433 -2.998 -4.399
-1.496 -6.433 -5.557
-1.402 -2.602 -1.863
-4.638 -6.079 -5.859
-9.822 -5.891 -3.171
-4.521 -2.836 -0.585
-6.215 -8.531 -5.327
-10.572 -5.861 -0.617
0.023 -4.038 -6.117
-9.108 -3.842 -1.516
-6.501 -3.372 -2.317
-10.374 -4.908 -1.946
0.221 -2.732 -4.938
-1.084 -1.288 -2.898
```

no.,calculated density (g/cm3)
1,2.4
2,3.0